(1)
This record from Materials Project describes KMgCl3 after structural relaxation. The functional is PBE.

a b c (Å): 7.075 10.032 7.030
angles (deg): 90.00 90.00 90.00
Element x y z (fractional)
K1 0.033 0.250 0.007
K2 0.467 0.750 0.507
K3 0.533 0.250 0.493
K4 0.967 0.750 0.993
Mg1 0.000 0.000 0.500
Mg2 0.000 0.500 0.500
Mg3 0.500 0.000 0.000
Mg4 0.500 0.500 0.000
Cl1 0.007 0.750 0.449
Cl2 0.213 0.526 0.787
Cl3 0.213 0.974 0.787
Cl4 0.287 0.026 0.287
Cl5 0.287 0.474 0.287
Cl6 0.493 0.250 0.949
Cl7 0.507 0.750 0.051
Cl8 0.713 0.526 0.713
Cl9 0.713 0.974 0.713
Cl10 0.787 0.026 0.213
Cl11 0.787 0.474 0.213
Cl12 0.993 0.250 0.551

Calculated total energy, Ry per atom: -0.2604
E_form, eV/atom: -2.26

---

(2)
This record from Materials Project describes Y2BiO2 after structural relaxation. The functional is PBE.

a b c (Å): 7.350 7.350 7.350
angles (deg): 149.17 149.17 44.17
Element x y z (fractional)
Y1 0.169 0.169 0.000
Y2 0.831 0.831 0.000
Bi1 0.500 0.500 0.000
O1 0.250 0.750 0.500
O2 0.750 0.250 0.500

Calculated total energy, Ry per atom: -0.5882
E_form, eV/atom: -2.93

---

(3)
This record from Materials Project describes LiNbTe3O12 after structural relaxation. The functional is PBE.

a b c (Å): 4.969 8.676 5.236
angles (deg): 90.00 90.36 90.00
Element x y z (fractional)
Li1 0.000 0.000 0.000
Nb1 0.000 0.386 0.000
Te1 0.000 0.196 0.500
Te2 0.500 0.693 0.000
Te3 0.500 0.882 0.500
O1 0.195 0.195 0.815
O2 0.212 0.349 0.319
O3 0.243 0.028 0.357
O4 0.258 0.539 0.878
O5 0.285 0.858 0.817
O6 0.292 0.719 0.314
O7 0.708 0.719 0.686
O8 0.715 0.858 0.183
O9 0.742 0.539 0.122
O10 0.757 0.028 0.643
O11 0.788 0.349 0.681
O12 0.805 0.195 0.185

Largest piezoelectric modulus, C/m²: 0.3
ΔE to the lowest computed polymorph, meV/atom: 2
Calculated total energy, Ry per atom: -0.4461
E_form, eV/atom: -1.80

---

(4)
This record from Materials Project describes Na3ScCl6 after structural relaxation. The functional is PBE.

a b c (Å): 7.307 7.307 7.307
angles (deg): 60.00 60.00 60.00
Element x y z (fractional)
Na1 0.000 0.000 0.000
Na2 0.250 0.250 0.250
Na3 0.750 0.750 0.750
Sc1 0.500 0.500 0.500
Cl1 0.260 0.260 0.740
Cl2 0.260 0.740 0.260
Cl3 0.260 0.740 0.740
Cl4 0.740 0.260 0.260
Cl5 0.740 0.260 0.740
Cl6 0.740 0.740 0.260

Calculated total energy, Ry per atom: -0.2905
E_form, eV/atom: -2.18

---

(5)
This record from Materials Project describes RbF3 after structural relaxation. The functional is PBE.

a b c (Å): 4.546 6.750 9.950
angles (deg): 90.00 90.00 90.00
Element x y z (fractional)
Rb1 0.077 0.029 0.367
Rb2 0.423 0.971 0.867
Rb3 0.577 0.471 0.633
Rb4 0.923 0.529 0.133
F1 0.001 0.615 0.439
F2 0.054 0.197 0.679
F3 0.225 0.539 0.879
F4 0.275 0.461 0.379
F5 0.446 0.803 0.179
F6 0.499 0.385 0.939
F7 0.501 0.885 0.561
F8 0.554 0.303 0.321
F9 0.725 0.961 0.121
F10 0.775 0.039 0.621
F11 0.946 0.697 0.821
F12 0.999 0.115 0.061

Calculated total energy, Ry per atom: -0.2312
E_form, eV/atom: -1.81

---

(6)
This record from Materials Project describes La4B14O27 after structural relaxation. The functional is PBE.

a b c (Å): 6.515 6.515 25.617
angles (deg): 98.89 98.89 59.67
Element x y z (fractional)
La1 0.086 0.256 0.185
La2 0.150 0.653 0.556
La3 0.256 0.086 0.685
La4 0.347 0.850 0.944
La5 0.653 0.150 0.056
La6 0.744 0.914 0.315
La7 0.850 0.347 0.444
La8 0.914 0.744 0.815
B1 0.026 0.310 0.046
B2 0.032 0.167 0.850
B3 0.155 0.634 0.055
B4 0.167 0.032 0.350
B5 0.176 0.643 0.705
B6 0.205 0.358 0.324
B7 0.209 0.548 0.422
B8 0.310 0.026 0.546
B9 0.357 0.824 0.795
B10 0.358 0.205 0.824
B11 0.366 0.845 0.445
B12 0.396 0.594 0.313
B13 0.406 0.604 0.187
B14 0.452 0.791 0.078
B15 0.548 0.209 0.922
B16 0.594 0.396 0.813
B17 0.604 0.406 0.687
B18 0.634 0.155 0.555
B19 0.642 0.795 0.176
B20 0.643 0.176 0.205
B21 0.690 0.974 0.454
B22 0.791 0.452 0.578
B23 0.795 0.642 0.676
B24 0.824 0.357 0.295
B25 0.833 0.968 0.650
B26 0.845 0.366 0.945
B27 0.968 0.833 0.150
B28 0.974 0.690 0.954
O1 0.001 0.571 0.717
O2 0.020 0.206 0.908
O3 0.033 0.733 0.910
O4 0.076 0.742 0.003
O5 0.091 0.783 0.658
O6 0.101 0.317 0.830
O7 0.101 0.514 0.372
O8 0.122 0.533 0.465
O9 0.189 0.805 0.321
O10 0.191 0.390 0.049
O11 0.195 0.811 0.179
O12 0.202 0.798 0.750
O13 0.206 0.020 0.408
O14 0.217 0.909 0.842
O15 0.258 0.924 0.497
O16 0.267 0.967 0.590
O17 0.317 0.101 0.330
O18 0.380 0.400 0.809
O19 0.390 0.191 0.549
O20 0.395 0.410 0.693
O21 0.397 0.601 0.426
O22 0.399 0.603 0.074
O23 0.400 0.380 0.309
O24 0.410 0.395 0.193
O25 0.429 0.999 0.783
O26 0.467 0.878 0.035
O27 0.486 0.899 0.128
O28 0.514 0.101 0.872
O29 0.533 0.122 0.965
O30 0.571 0.001 0.217
O31 0.590 0.605 0.807
O32 0.600 0.620 0.691
O33 0.601 0.397 0.926
O34 0.603 0.399 0.574
O35 0.605 0.590 0.307
O36 0.610 0.809 0.451
O37 0.620 0.600 0.191
O38 0.683 0.899 0.670
O39 0.733 0.033 0.410
O40 0.742 0.076 0.503
O41 0.783 0.091 0.158
O42 0.794 0.980 0.592
O43 0.798 0.202 0.250
O44 0.805 0.189 0.821
O45 0.809 0.610 0.951
O46 0.811 0.195 0.679
O47 0.878 0.467 0.535
O48 0.899 0.486 0.628
O49 0.899 0.683 0.170
O50 0.909 0.217 0.342
O51 0.924 0.258 0.997
O52 0.967 0.267 0.090
O53 0.980 0.794 0.092
O54 0.999 0.429 0.283

Calculated total energy, Ry per atom: -0.6051
E_form, eV/atom: -3.16

---

(7)
This record from Materials Project describes Na2ZrSiSnP2O12 after structural relaxation. The functional is PBE.

a b c (Å): 8.978 8.979 22.951
angles (deg): 90.05 90.01 119.79
Element x y z (fractional)
Na1 0.000 0.000 0.000
Na2 0.001 0.000 0.501
Na3 0.028 0.340 0.086
Na4 0.326 0.659 0.668
Na5 0.327 0.033 0.419
Na6 0.342 0.677 0.167
Na7 0.364 0.004 0.752
Na8 0.660 0.974 0.587
Na9 0.661 0.330 0.835
Na10 0.672 0.341 0.333
Na11 0.969 0.675 0.920
Na12 0.998 0.639 0.251
Zr1 0.001 0.005 0.649
Zr2 0.321 0.670 0.520
Zr3 0.666 0.337 0.688
Zr4 0.669 0.347 0.480
Zr5 0.990 0.008 0.352
Zr6 0.996 0.000 0.148
Si1 0.035 0.671 0.413
Si2 0.331 0.968 0.916
Si3 0.368 0.046 0.583
Si4 0.702 0.000 0.751
Si5 0.954 0.628 0.081
Si6 0.996 0.303 0.248
Sn1 0.328 0.665 0.314
Sn2 0.331 0.678 0.019
Sn3 0.337 0.675 0.816
Sn4 0.657 0.334 0.981
Sn5 0.662 0.335 0.185
Sn6 0.996 0.011 0.854
P1 0.041 0.381 0.918
P2 0.286 0.300 0.753
P3 0.296 0.009 0.252
P4 0.331 0.382 0.416
P5 0.375 0.342 0.083
P6 0.618 0.959 0.417
P7 0.620 0.671 0.918
P8 0.659 0.046 0.083
P9 0.664 0.631 0.585
P10 0.699 0.710 0.250
P11 0.956 0.338 0.584
P12 0.997 0.712 0.755
O1 0.019 0.213 0.189
O2 0.020 0.200 0.913
O3 0.028 0.850 0.410
O4 0.032 0.833 0.702
O5 0.118 0.644 0.354
O6 0.126 0.499 0.865
O7 0.136 0.494 0.579
O8 0.142 0.634 0.078
O9 0.147 0.456 0.975
O10 0.150 0.977 0.911
O11 0.161 0.703 0.470
O12 0.163 0.697 0.758
O13 0.167 0.497 0.252
O14 0.171 0.200 0.411
O15 0.173 0.973 0.199
O16 0.176 0.215 0.698
O17 0.177 0.023 0.588
O18 0.191 0.186 0.090
O19 0.211 0.181 0.807
O20 0.212 0.031 0.307
O21 0.285 0.838 0.971
O22 0.298 0.477 0.759
O23 0.308 0.467 0.470
O24 0.312 0.844 0.255
O25 0.354 0.504 0.077
O26 0.360 0.888 0.855
O27 0.363 0.860 0.580
O28 0.364 0.491 0.361
O29 0.451 0.307 0.028
O30 0.459 0.156 0.524
O31 0.466 0.318 0.746
O32 0.472 0.172 0.244
O33 0.484 0.370 0.138
O34 0.487 0.352 0.421
O35 0.488 0.137 0.641
O36 0.501 0.875 0.363
O37 0.502 0.864 0.077
O38 0.503 0.158 0.922
O39 0.504 0.653 0.579
O40 0.507 0.830 0.755
O41 0.510 0.637 0.863
O42 0.522 0.697 0.256
O43 0.538 0.699 0.973
O44 0.538 0.854 0.473
O45 0.623 0.122 0.138
O46 0.630 0.137 0.422
O47 0.644 0.523 0.639
O48 0.649 0.513 0.922
O49 0.673 0.168 0.748
O50 0.684 0.530 0.244
O51 0.690 0.547 0.530
O52 0.696 0.162 0.029
O53 0.786 0.820 0.196
O54 0.787 0.977 0.692
O55 0.798 0.980 0.411
O56 0.804 0.831 0.913
O57 0.816 0.791 0.304
O58 0.822 0.034 0.809
O59 0.822 0.815 0.589
O60 0.825 0.035 0.090
O61 0.826 0.329 0.246
O62 0.838 0.535 0.747
O63 0.841 0.543 0.022
O64 0.842 0.311 0.530
O65 0.847 0.502 0.420
O66 0.863 0.372 0.922
O67 0.871 0.365 0.639
O68 0.872 0.508 0.140
O69 0.963 0.170 0.590
O70 0.972 0.184 0.304
O71 0.972 0.792 0.811
O72 0.977 0.819 0.088

Calculated total energy, Ry per atom: -0.5288
E_form, eV/atom: -2.85

---

(8)
This record from Materials Project describes U2Re2C3 after structural relaxation. The functional is PBE.

a b c (Å): 6.168 6.168 5.591
angles (deg): 112.05 112.05 29.25
Element x y z (fractional)
U1 0.102 0.102 0.307
U2 0.898 0.898 0.693
Re1 0.346 0.346 0.165
Re2 0.654 0.654 0.835
C1 0.251 0.251 0.747
C2 0.500 0.500 0.500
C3 0.749 0.749 0.253

ΔE to the lowest computed polymorph, meV/atom: 0
Calculated total energy, Ry per atom: -0.8023
E_form, eV/atom: -0.18

---

(9)
This record from Materials Project describes Li2HfO3 after structural relaxation. The functional is PBE.

a b c (Å): 5.385 5.385 5.280
angles (deg): 99.95 99.95 119.82
Element x y z (fractional)
Li1 0.000 0.000 0.000
Li2 0.158 0.842 0.500
Li3 0.500 0.500 0.500
Li4 0.842 0.158 0.500
Hf1 0.334 0.666 0.000
Hf2 0.666 0.334 0.000
O1 0.079 0.431 0.231
O2 0.276 0.276 0.764
O3 0.431 0.079 0.231
O4 0.569 0.921 0.769
O5 0.724 0.724 0.236
O6 0.921 0.569 0.769

Calculated total energy, Ry per atom: -0.5562
E_form, eV/atom: -3.14

---

(10)
This record from Materials Project describes MgI8O12F24 after structural relaxation. The functional is PBE.

a b c (Å): 8.760 9.696 10.195
angles (deg): 63.92 89.17 89.33
Element x y z (fractional)
Mg1 0.000 0.000 0.000
I1 0.124 0.444 0.906
I2 0.256 0.533 0.517
I3 0.291 0.022 0.524
I4 0.425 0.944 0.904
I5 0.620 0.264 0.283
I6 0.743 0.200 0.645
I7 0.795 0.681 0.663
I8 0.919 0.751 0.289
O1 0.006 0.615 0.821
O2 0.054 0.584 0.389
O3 0.150 0.396 0.754
O4 0.254 0.706 0.535
O5 0.294 0.198 0.534
O6 0.397 0.898 0.751
O7 0.510 0.090 0.370
O8 0.523 0.126 0.810
O9 0.633 0.308 0.445
O10 0.745 0.016 0.652
O11 0.798 0.501 0.660
O12 0.896 0.804 0.444
F1 0.101 0.953 0.625
F2 0.105 0.908 0.198
F3 0.111 0.460 0.084
F4 0.178 0.096 0.348
F5 0.222 0.042 0.882
F6 0.243 0.269 0.022
F7 0.307 0.553 0.874
F8 0.317 0.766 0.023
F9 0.367 0.608 0.338
F10 0.430 0.967 0.077
F11 0.451 0.396 0.219
F12 0.452 0.464 0.612
F13 0.601 0.824 0.968
F14 0.606 0.757 0.565
F15 0.616 0.253 0.105
F16 0.675 0.610 0.839
F17 0.733 0.625 0.348
F18 0.737 0.440 0.178
F19 0.806 0.159 0.320
F20 0.826 0.985 0.129
F21 0.887 0.134 0.819
F22 0.929 0.269 0.539
F23 0.959 0.303 0.982
F24 0.970 0.794 0.035

ΔE to the lowest computed polymorph, meV/atom: 16
Calculated total energy, Ry per atom: -0.2770
E_form, eV/atom: -1.55

---

(11)
This record from Materials Project describes MnFe5N4 after structural relaxation. The functional is PBE.

a b c (Å): 5.898 6.627 4.616
angles (deg): 90.00 90.00 90.00
Element x y z (fractional)
Mn1 0.250 0.250 0.229
Mn2 0.750 0.750 0.771
Fe1 0.018 0.055 0.749
Fe2 0.018 0.445 0.749
Fe3 0.250 0.750 0.672
Fe4 0.482 0.055 0.749
Fe5 0.482 0.445 0.749
Fe6 0.518 0.555 0.251
Fe7 0.518 0.945 0.251
Fe8 0.750 0.250 0.328
Fe9 0.982 0.555 0.251
Fe10 0.982 0.945 0.251
N1 0.026 0.750 0.967
N2 0.250 0.001 0.466
N3 0.250 0.499 0.466
N4 0.474 0.750 0.967
N5 0.526 0.250 0.033
N6 0.750 0.501 0.534
N7 0.750 0.999 0.534
N8 0.974 0.250 0.033

Calculated total energy, Ry per atom: -0.6225
E_form, eV/atom: -0.13

---

E_form of number 8 (U2Re2C3)?
-0.18 eV/atom